Density functional theory data (GGA-PBE) for a relaxed RuF5 crystal.

abc: 5.633 10.218 12.832
angles: 90.00 100.47 90.00
Sites, in units of the cell vectors:
Ru  0.005  0.247  0.499
Ru  0.005  0.253  0.999
Ru  0.304  0.504  0.699
Ru  0.304  0.996  0.199
Ru  0.696  0.004  0.801
Ru  0.696  0.496  0.301
Ru  0.995  0.747  0.001
Ru  0.995  0.753  0.501
F  0.024  0.570  0.739
F  0.024  0.930  0.239
F  0.099  0.668  0.131
F  0.099  0.832  0.631
F  0.102  0.154  0.138
F  0.102  0.346  0.638
F  0.188  0.105  0.554
F  0.188  0.395  0.054
F  0.193  0.591  0.555
F  0.193  0.909  0.055
F  0.264  0.687  0.949
F  0.264  0.813  0.449
F  0.268  0.175  0.953
F  0.268  0.325  0.453
F  0.391  0.084  0.325
F  0.391  0.416  0.825
F  0.439  0.567  0.356
F  0.439  0.933  0.856
F  0.477  0.652  0.746
F  0.477  0.848  0.246
F  0.523  0.152  0.754
F  0.523  0.348  0.254
F  0.561  0.067  0.144
F  0.561  0.433  0.644
F  0.609  0.584  0.175
F  0.609  0.916  0.675
F  0.732  0.675  0.547
F  0.732  0.825  0.047
F  0.736  0.187  0.551
F  0.736  0.313  0.051
F  0.807  0.091  0.945
F  0.807  0.409  0.445
F  0.812  0.605  0.946
F  0.812  0.895  0.446
F  0.898  0.654  0.362
F  0.898  0.846  0.862
F  0.901  0.168  0.369
F  0.901  0.332  0.869
F  0.976  0.070  0.761
F  0.976  0.430  0.261

Properties
DFT formation energy ... -12.11 eV/f.u.
Crystal system ... monoclinic

Density functional theory data (GGA-PBE) for a relaxed RuF3 crystal.

abc: 5.498 5.498 5.498
angles: 55.07 55.07 55.07
Sites, in units of the cell vectors:
Ru  0.000  0.000  0.000
Ru  0.500  0.500  0.500
F  0.103  0.750  0.397
F  0.250  0.603  0.897
F  0.397  0.103  0.750
F  0.603  0.897  0.250
F  0.750  0.397  0.103
F  0.897  0.250  0.603

Properties
DFT formation energy ... -7.55 eV/f.u.
Crystal system ... trigonal